[1]
Crystalline YMg3 at its relaxed geometry, computed with PBE.

Values from the calculation:
As for the electronic total energy: -0.1069 Ha/atom.

Lattice parameters (Å, degrees): 7.328 7.328 7.328 90.00 90.00 90.00
Space group Fm-3m (No. 225)
Unique sites:
Y 0.000 0.000 0.000 [4 per cell]
Mg 0.000 0.000 0.500 [4 per cell]
Mg 0.250 0.250 0.250 [8 per cell]

---

[2]
Crystalline HoTmZn2 at its relaxed geometry, computed with PBE.

Values from the calculation:
As for the electronic total energy: -0.1194 Ha/atom.

Lattice parameters (Å, degrees): 7.084 7.084 7.084 90.00 90.00 90.00
Space group Fm-3m (No. 225)
Unique sites:
Ho 0.000 0.000 0.000 [4 per cell]
Tm 0.000 0.000 0.500 [4 per cell]
Zn 0.250 0.250 0.250 [8 per cell]

---

[3]
Crystalline Dy4CdRh at its relaxed geometry, computed with PBE.

Values from the calculation:
As for the electronic total energy: -0.1817 Ha/atom.

Lattice parameters (Å, degrees): 13.612 13.612 13.612 90.00 90.00 90.00
Space group F-43m (No. 216)
Unique sites:
Dy 0.000 0.000 0.186 [24 per cell]
Dy 0.061 0.250 0.250 [24 per cell]
Dy 0.100 0.100 0.600 [16 per cell]
Cd 0.169 0.169 0.831 [16 per cell]
Rh 0.108 0.108 0.392 [16 per cell]

---

[4]
Crystalline SiO2 at its relaxed geometry, computed with PBE.

Values from the calculation:
As for the electronic total energy: -0.2886 Ha/atom.

Lattice parameters (Å, degrees): 13.075 22.431 4.980 90.00 104.83 90.00
Space group C2/m (No. 12)
Unique sites:
Si 0.073 0.066 0.310 [8 per cell]
Si 0.116 0.248 0.704 [8 per cell]
Si 0.196 0.179 0.256 [8 per cell]
O 0.000 0.059 0.000 [4 per cell]
O 0.000 0.096 0.500 [4 per cell]
O 0.000 0.261 0.500 [4 per cell]
O 0.114 0.000 0.432 [4 per cell]
O 0.115 0.214 0.995 [8 per cell]
O 0.172 0.108 0.281 [8 per cell]
O 0.182 0.205 0.548 [8 per cell]
O 0.182 0.311 0.766 [8 per cell]

---

[5]
Crystalline CaTcO3 at its relaxed geometry, computed with PBE.

Values from the calculation:
As for the electronic total energy: -0.2718 Ha/atom. The calculation puts the total moment at 0.0 μB per formula unit.

Lattice parameters (Å, degrees): 3.927 3.939 3.949 89.76 89.88 89.96
Space group P1 (No. 1)
Unique sites:
Ca 0.000 0.000 0.000 [1 per cell]
Tc 0.497 0.512 0.497 [1 per cell]
O 0.495 0.012 0.494 [1 per cell]
O 0.497 0.513 0.997 [1 per cell]
O 0.997 0.515 0.498 [1 per cell]

---

[6]
Crystalline YAl6Si30N45O3 at its relaxed geometry, computed with PBE.

Values from the calculation:
For the excess energy over the best structure of this formula in the dataset, the calculation gives 0.00 eV/f.u. The calculation puts the total moment at 0.0 μB per formula unit.

Lattice parameters (Å, degrees): 7.868 7.883 17.126 89.72 89.90 60.45
Space group P1 (No. 1)
Unique sites:
Y 0.000 0.000 0.000 [1 per cell]
Al 0.580 0.169 0.989 [1 per cell]
Al 0.751 0.086 0.164 [1 per cell]
Al 0.753 0.408 0.922 [1 per cell]
Al 0.760 0.086 0.822 [1 per cell]
Al 0.762 0.402 0.259 [1 per cell]
Al 0.762 0.402 0.591 [1 per cell]
Si 0.107 0.142 0.494 [1 per cell]
Si 0.111 0.143 0.162 [1 per cell]
Si 0.113 0.138 0.824 [1 per cell]
Si 0.161 0.738 0.493 [1 per cell]
Si 0.163 0.737 0.823 [1 per cell]
Si 0.168 0.734 0.161 [1 per cell]
Si 0.187 0.222 0.659 [1 per cell]
Si 0.189 0.234 0.992 [1 per cell]
Si 0.190 0.222 0.327 [1 per cell]
Si 0.245 0.573 0.659 [1 per cell]
Si 0.247 0.572 0.328 [1 per cell]
Si 0.250 0.569 0.993 [1 per cell]
Si 0.423 0.822 0.589 [1 per cell]
Si 0.427 0.822 0.257 [1 per cell]
Si 0.429 0.827 0.920 [1 per cell]
Si 0.505 0.896 0.090 [1 per cell]
Si 0.507 0.895 0.423 [1 per cell]
Si 0.507 0.895 0.752 [1 per cell]
Si 0.587 0.482 0.425 [1 per cell]
Si 0.587 0.482 0.757 [1 per cell]
Si 0.588 0.173 0.656 [1 per cell]
Si 0.593 0.171 0.326 [1 per cell]
Si 0.597 0.476 0.091 [1 per cell]
Si 0.762 0.088 0.496 [1 per cell]
Si 0.839 0.742 0.590 [1 per cell]
Si 0.840 0.743 0.260 [1 per cell]
Si 0.845 0.739 0.921 [1 per cell]
Si 0.928 0.571 0.092 [1 per cell]
Si 0.930 0.564 0.755 [1 per cell]
Si 0.931 0.563 0.424 [1 per cell]
N 0.008 0.988 0.475 [1 per cell]
N 0.019 0.984 0.135 [1 per cell]
N 0.023 0.983 0.805 [1 per cell]
N 0.032 0.241 0.919 [1 per cell]
N 0.033 0.257 0.583 [1 per cell]
N 0.035 0.254 0.251 [1 per cell]
N 0.067 0.308 0.418 [1 per cell]
N 0.067 0.311 0.083 [1 per cell]
N 0.068 0.309 0.750 [1 per cell]
N 0.275 0.717 0.919 [1 per cell]
N 0.284 0.704 0.252 [1 per cell]
N 0.285 0.700 0.583 [1 per cell]
N 0.328 0.334 0.969 [1 per cell]
N 0.328 0.615 0.418 [1 per cell]
N 0.329 0.613 0.749 [1 per cell]
N 0.332 0.613 0.082 [1 per cell]
N 0.340 0.322 0.644 [1 per cell]
N 0.344 0.320 0.313 [1 per cell]
N 0.351 0.977 0.006 [1 per cell]
N 0.357 0.966 0.503 [1 per cell]
N 0.359 0.973 0.671 [1 per cell]
N 0.360 0.967 0.171 [1 per cell]
N 0.366 0.974 0.339 [1 per cell]
N 0.367 0.972 0.836 [1 per cell]
N 0.660 0.345 0.838 [1 per cell]
N 0.666 0.342 0.173 [1 per cell]
N 0.669 0.331 0.677 [1 per cell]
N 0.669 0.332 0.504 [1 per cell]
N 0.669 0.334 0.345 [1 per cell]
N 0.670 0.668 0.590 [1 per cell]
N 0.672 0.669 0.924 [1 per cell]
N 0.673 0.667 0.257 [1 per cell]
N 0.678 0.649 0.424 [1 per cell]
N 0.678 0.650 0.755 [1 per cell]
N 0.678 0.652 0.088 [1 per cell]
N 0.692 0.319 0.013 [1 per cell]
N 0.721 0.001 0.584 [1 per cell]
N 0.725 0.995 0.260 [1 per cell]
N 0.750 0.987 0.921 [1 per cell]
N 0.985 0.663 0.505 [1 per cell]
N 0.987 0.665 0.173 [1 per cell]
N 0.993 0.654 0.837 [1 per cell]
N 0.994 0.650 0.671 [1 per cell]
N 0.995 0.664 0.007 [1 per cell]
N 0.999 0.643 0.339 [1 per cell]
O 0.623 0.029 0.084 [1 per cell]
O 0.628 0.031 0.743 [1 per cell]
O 0.632 0.037 0.420 [1 per cell]